A relaxed ZnAg2O4 crystal. Source: Materials Project, functional PBE.

Structure (POSCAR):
```
ZnAg2O4
1.0
-3.215 3.215 4.358
3.215 -3.215 4.358
3.215 3.215 -4.358
Zn Ag O
2 4 8
Cartesian
0.000 1.607 1.089 Zn
3.215 1.607 3.268 Zn
1.607 1.607 -2.179 Ag
1.607 -1.607 2.179 Ag
3.215 0.000 0.000 Ag
0.000 0.000 4.358 Ag
1.542 1.202 -0.146 O
2.810 0.065 2.033 O
2.810 3.280 -2.033 O
1.673 -1.202 4.212 O
1.542 4.417 0.146 O
0.405 -0.065 6.391 O
0.405 3.149 2.325 O
1.673 2.012 4.504 O
```

Values from the calculation:
The energy above the most stable polymorph in this dataset comes out at 51.5 meV per atom. The calculated volume is 12.87 A^3/atom. As for the energy relative to the elements: -0.66 eV/atom. Its symmetry is I4_1/a, No. 88. Its total magnetization is 0.000 μB/atom.

***

A relaxed ZnAg2O4 crystal. Source: Materials Project, functional PBE.

Structure (POSCAR):
```
ZnAg2O4
1.0
1.549 -5.299 0.000
1.549 5.299 0.000
0.000 0.000 9.972
Zn Ag O
2 4 8
Cartesian
1.549 4.137 7.479 Zn
1.549 -4.137 2.493 Zn
1.549 1.384 5.704 Ag
1.549 1.384 9.253 Ag
1.549 -1.384 0.718 Ag
1.549 -1.384 4.268 Ag
0.000 0.000 0.000 O
0.000 0.000 4.986 O
1.549 2.255 1.198 O
1.549 2.255 3.788 O
1.549 0.258 7.479 O
1.549 -0.258 2.493 O
1.549 -2.255 6.184 O
1.549 -2.255 8.774 O
```

Values from the calculation:
The energy above the most stable polymorph in this dataset comes out at 98.5 meV per atom. The calculated volume is 11.69 A^3/atom. As for the energy relative to the elements: -0.61 eV/atom. Its symmetry is Cmcm, No. 63. Its total magnetization is 0.000 μB/atom.

***

A relaxed Ag3P crystal. Source: Materials Project, functional PBE.

Structure (POSCAR):
```
Ag3P
1.0
-2.041 2.041 4.197
2.041 -2.041 4.197
2.041 2.041 -4.197
Ag P
3 1
Cartesian
0.000 0.000 0.000 Ag
2.041 0.000 2.098 Ag
0.000 2.041 2.098 Ag
0.000 0.000 4.197 P
```

Values from the calculation:
The calculated volume is 17.48 A^3/atom. As for the energy relative to the elements: 0.21 eV/atom. Its symmetry is I4/mmm, No. 139. Its total magnetization is 0.000 μB/atom.

***

A relaxed AgP2 crystal. Source: Materials Project, functional PBE.

Structure (POSCAR):
```
AgP2
1.0
6.259 0.000 0.000
0.000 5.118 0.000
-3.138 0.000 7.244
Ag P
4 8
Cartesian
-0.359 0.240 2.912 Ag
-1.928 2.319 6.535 Ag
5.050 2.799 0.710 Ag
3.481 4.878 4.332 Ag
-0.463 3.746 5.068 P
1.106 3.931 1.446 P
2.309 0.479 0.609 P
0.740 2.080 4.231 P
2.382 3.038 3.014 P
0.813 4.639 6.636 P
2.015 1.187 5.799 P
3.584 1.372 2.176 P
```

Values from the calculation:
The calculated volume is 19.34 A^3/atom. As for the energy relative to the elements: -0.01 eV/atom. Its symmetry is P2_1/c, No. 14.